A plane-wave DFT calculation with PBE was carried out for an optimized crystal structure of NpCo2.

Calculated volume (Å³/cell): 84
Energy of formation (meV per atom): -75

Cell: 4.920 4.920 4.920 Å, 60.00 60.00 60.00°
Atoms (fractional coordinates):
1 Np 0.625 0.125 0.125
2 Np 0.375 0.875 0.875
3 Co 0.500 0.500 0.500
4 Co 0.000 0.000 0.500
5 Co 0.000 0.500 0.000
6 Co 0.000 0.500 0.500